Below is YbAl2Cu after structural relaxation, with properties calculated at the r2SCAN level.

It has space group R-3m (No. 166, hexagonal axes), with a = 5.3783 Å, b = 5.3783 Å, c = 24.7573 Å, α = 90.00°, β = 90.00° and γ = 120.00°. The distinct sites, in fractional coordinates, are Yb at (0.0000, 0.0000, 0.0000), Yb at (0.0000, 0.0000, 0.1423), Al at (0.0020, 0.5010, 0.9188), Cu at (0.0000, 0.0000, 0.3345) and Cu at (0.0000, 0.0000, 0.5000).

The value obtained for the raw total energy is -15.709 eV per atom. Its volume is 17.2 Å³ per atom.